Compound: Y2Hg2O5
Source: the Materials Project
Functional: GGA-PBE
Structure: relaxed

Cell lengths 3.554, 7.675, 11.634 Å; angles 83.75, 87.47, 84.60 degrees
Space group P-1 (No. 2)
One atom of each set of equivalent atoms:
1 Y 0.165 0.320 0.328 (multiplicity 2)
2 Y 0.272 0.881 0.889 (multiplicity 2)
3 Hg 0.166 0.322 0.829 (multiplicity 2)
4 Hg 0.287 0.867 0.389 (multiplicity 2)
5 O 0.006 0.395 0.663 (multiplicity 2)
6 O 0.232 0.035 0.231 (multiplicity 2)
7 O 0.240 0.161 0.984 (multiplicity 2)
8 O 0.330 0.648 0.802 (multiplicity 2)
9 O 0.331 0.785 0.563 (multiplicity 2)

Output
The value obtained for the polymorph energy (0 for the lowest one) is 0.007 eV/atom. The calculation puts the total magnetization at 0.000 μB/atom. The calculated formation energy comes out at -2076 kJ/mol of formula units. The total energy is -6.263 eV per atom.

***

Compound: Mn5Ni2Bi4
Source: the Materials Project
Functional: GGA-PBE
Structure: relaxed

Cell lengths 12.031, 12.031, 12.031 Å; angles 90.00, 90.00, 90.00 degrees
Space group F-43m (No. 216)
One atom of each set of equivalent atoms:
1 Mn 0.000 0.000 0.244 (multiplicity 24)
2 Mn 0.167 0.167 0.833 (multiplicity 16)
3 Ni 0.128 0.128 0.628 (multiplicity 16)
4 Bi 0.000 0.000 0.000 (multiplicity 4)
5 Bi 0.000 0.000 0.500 (multiplicity 4)
6 Bi 0.039 0.250 0.250 (multiplicity 24)

Output
The calculation puts the total magnetization at 1.872 μB/atom. The calculated formation energy comes out at 163 kJ/mol of formula units. The total energy is -6.477 eV per atom.

***

Compound: Tb2HfS5
Source: the Materials Project
Functional: GGA-PBE
Structure: relaxed

Cell lengths 11.574, 7.769, 7.271 Å; angles 90.00, 90.00, 90.00 degrees
Space group Pnma (No. 62)
One atom of each set of equivalent atoms:
1 Tb 0.178 0.002 0.024 (multiplicity 8)
2 Hf 0.006 0.750 0.575 (multiplicity 4)
3 S 0.004 0.750 0.946 (multiplicity 4)
4 S 0.093 0.036 0.661 (multiplicity 8)
5 S 0.181 0.750 0.334 (multiplicity 4)
6 S 0.207 0.250 0.312 (multiplicity 4)

Output
The calculated formation energy comes out at -1698 kJ/mol of formula units. The total energy is -6.874 eV per atom.

***

Compound: Tm2Si9B36C
Source: the Materials Project
Functional: GGA-PBE
Structure: relaxed

Cell lengths 12.479, 10.108, 7.995 Å; angles 90.00, 105.47, 90.00 degrees
Space group Cm (No. 8)
One atom of each set of equivalent atoms:
1 Tm 0.000 0.250 0.000 (multiplicity 4)
2 Si 0.013 0.000 0.840 (multiplicity 2)
3 Si 0.180 0.000 0.072 (multiplicity 2)
4 Si 0.206 0.500 0.542 (multiplicity 2)
5 Si 0.210 0.194 0.245 (multiplicity 4)
6 Si 0.289 0.195 0.754 (multiplicity 4)
7 Si 0.322 0.000 0.927 (multiplicity 2)
8 Si 0.488 0.000 0.161 (multiplicity 2)
9 B 0.011 0.152 0.672 (multiplicity 4)
10 B 0.038 0.084 0.477 (multiplicity 4)
11 B 0.054 0.322 0.697 (multiplicity 4)
12 B 0.090 0.214 0.374 (multiplicity 4)
13 B 0.099 0.355 0.506 (multiplicity 4)
14 B 0.128 0.500 0.063 (multiplicity 2)
15 B 0.130 0.200 0.606 (multiplicity 4)
16 B 0.142 0.410 0.874 (multiplicity 4)
17 B 0.217 0.357 0.089 (multiplicity 4)
18 B 0.245 0.500 0.795 (multiplicity 2)
19 B 0.268 0.500 0.225 (multiplicity 2)
20 B 0.286 0.355 0.918 (multiplicity 4)
21 B 0.361 0.410 0.128 (multiplicity 4)
22 B 0.368 0.207 0.392 (multiplicity 4)
23 B 0.376 0.500 0.944 (multiplicity 2)
24 B 0.398 0.371 0.482 (multiplicity 4)
25 B 0.408 0.220 0.622 (multiplicity 4)
26 B 0.447 0.325 0.299 (multiplicity 4)
27 B 0.462 0.086 0.519 (multiplicity 4)
28 B 0.486 0.157 0.323 (multiplicity 4)
29 C 0.318 0.500 0.433 (multiplicity 2)

Output
The calculation puts the total magnetization at 0.000 μB/atom. The calculated formation energy comes out at -936 kJ/mol of formula units. The total energy is -6.608 eV per atom.

***

Compound: MgSi
Source: the Materials Project
Functional: GGA-PBE
Structure: relaxed

Cell lengths 5.169, 5.401, 8.462 Å; angles 82.35, 83.90, 77.45 degrees
Space group P1 (No. 1)
One atom of each set of equivalent atoms:
1 Mg 0.000 0.000 0.000 (multiplicity 1)
2 Mg 0.015 0.178 0.321 (multiplicity 1)
3 Mg 0.412 0.526 0.258 (multiplicity 1)
4 Mg 0.482 0.063 0.553 (multiplicity 1)
5 Mg 0.597 0.731 0.898 (multiplicity 1)
6 Mg 0.970 0.359 0.700 (multiplicity 1)
7 Si 0.027 0.862 0.625 (multiplicity 1)
8 Si 0.106 0.480 0.016 (multiplicity 1)
9 Si 0.442 0.554 0.596 (multiplicity 1)
10 Si 0.479 0.260 0.853 (multiplicity 1)
11 Si 0.574 0.988 0.226 (multiplicity 1)
12 Si 0.831 0.676 0.417 (multiplicity 1)

Output
The calculation puts the total magnetization at 0.000 μB/atom. The calculated formation energy comes out at 22 kJ/mol of formula units. The total energy is -3.432 eV per atom.

***

Compound: Ti2H3
Source: the Materials Project
Functional: GGA-PBE
Structure: relaxed

Cell lengths 4.356, 4.356, 4.405 Å; angles 90.00, 90.00, 90.00 degrees
Space group P4_2/mcm (No. 132)
One atom of each set of equivalent atoms:
1 Ti 0.238 0.238 0.000 (multiplicity 4)
2 H 0.000 0.500 0.250 (multiplicity 4)
3 H 0.500 0.500 0.250 (multiplicity 2)

Output
The calculated formation energy comes out at -257 kJ/mol of formula units. The total energy is -5.620 eV per atom.

***

Compound: MgGaRh2
Source: the Materials Project
Functional: GGA-PBE
Structure: relaxed

Cell lengths 6.129, 6.129, 6.129 Å; angles 90.00, 90.00, 90.00 degrees
Space group Fm-3m (No. 225)
One atom of each set of equivalent atoms:
1 Mg 0.000 0.000 0.000 (multiplicity 4)
2 Ga 0.000 0.000 0.500 (multiplicity 4)
3 Rh 0.250 0.250 0.250 (multiplicity 8)

Output
The calculated formation energy comes out at -267 kJ/mol of formula units. The total energy is -5.530 eV per atom.

***

Compound: Pr3Ge13Ir4
Source: the Materials Project
Functional: GGA-PBE
Structure: relaxed

Cell lengths 9.160, 9.160, 9.160 Å; angles 90.00, 90.00, 90.00 degrees
Space group Pm-3n (No. 223)
One atom of each set of equivalent atoms:
1 Pr 0.000 0.250 0.500 (multiplicity 6)
2 Ge 0.000 0.000 0.000 (multiplicity 2)
3 Ge 0.000 0.304 0.145 (multiplicity 24)
4 Ir 0.250 0.250 0.250 (multiplicity 8)

Output
The calculation puts the total magnetization at 0.002 μB/atom. The calculated formation energy comes out at -981 kJ/mol of formula units. The total energy is -5.998 eV per atom.

***

Compound: ThSi3Ru
Source: the Materials Project
Functional: GGA-PBE
Structure: relaxed

Cell lengths 4.244, 4.244, 9.888 Å; angles 90.00, 90.00, 90.00 degrees
Space group I4mm (No. 107)
One atom of each set of equivalent atoms:
1 Th 0.000 0.000 0.000 (multiplicity 2)
2 Si 0.000 0.000 0.419 (multiplicity 2)
3 Si 0.000 0.500 0.266 (multiplicity 4)
4 Ru 0.000 0.000 0.657 (multiplicity 2)

Output
The calculated formation energy comes out at -359 kJ/mol of formula units. The total energy is -7.337 eV per atom.

***

Compound: Cu3As4O6F6
Source: the Materials Project
Functional: GGA-PBE
Structure: relaxed

Cell lengths 8.064, 8.064, 8.064 Å; angles 90.00, 90.00, 90.00 degrees
Space group I-43m (No. 217)
One atom of each set of equivalent atoms:
1 Cu 0.000 0.000 0.500 (multiplicity 6)
2 As 0.148 0.148 0.852 (multiplicity 8)
3 O 0.000 0.000 0.242 (multiplicity 12)
4 F 0.000 0.250 0.500 (multiplicity 12)

Output
The calculation puts the total magnetization at 0.156 μB/atom. The calculated formation energy comes out at -3108 kJ/mol of formula units. The total energy is -5.128 eV per atom.

***

Compound: Tb2CdNi2
Source: the Materials Project
Functional: GGA-PBE
Structure: relaxed

Cell lengths 3.865, 14.194, 3.690 Å; angles 90.00, 90.00, 90.00 degrees
Space group Cmmm (No. 65)
One atom of each set of equivalent atoms:
1 Tb 0.000 0.138 0.000 (multiplicity 4)
2 Cd 0.000 0.500 0.500 (multiplicity 2)
3 Ni 0.000 0.299 0.500 (multiplicity 4)

Output
The calculated formation energy comes out at -207 kJ/mol of formula units. The total energy is -4.780 eV per atom.

***

Compound: RbDy2Ag3Te5
Source: the Materials Project
Functional: GGA-PBE
Structure: relaxed

Cell lengths 4.578, 16.320, 18.501 Å; angles 90.00, 90.00, 90.00 degrees
Space group Cmcm (No. 63)
One atom of each set of equivalent atoms:
1 Rb 0.000 0.057 0.250 (multiplicity 4)
2 Dy 0.000 0.191 0.595 (multiplicity 8)
3 Ag 0.000 0.336 0.250 (multiplicity 4)
4 Ag 0.000 0.416 0.532 (multiplicity 8)
5 Te 0.000 0.177 0.072 (multiplicity 8)
6 Te 0.000 0.261 0.750 (multiplicity 4)
7 Te 0.000 0.437 0.121 (multiplicity 8)

Output
The calculation puts the total magnetization at 0.002 μB/atom. The calculated formation energy comes out at -1134 kJ/mol of formula units. The total energy is -4.004 eV per atom.

***

Compound: Lu3Ni2Ge3
Source: the Materials Project
Functional: GGA-PBE
Structure: relaxed

Cell lengths 4.157, 10.090, 13.836 Å; angles 90.00, 90.00, 90.00 degrees
Space group Cmcm (No. 63)
One atom of each set of equivalent atoms:
1 Lu 0.000 0.087 0.109 (multiplicity 8)
2 Lu 0.000 0.364 0.250 (multiplicity 4)
3 Ni 0.000 0.202 0.601 (multiplicity 8)
4 Ge 0.000 0.340 0.750 (multiplicity 4)
5 Ge 0.000 0.378 0.038 (multiplicity 8)

Output
The calculated formation energy comes out at -633 kJ/mol of formula units. The total energy is -5.694 eV per atom.

***

Compound: Li2BeSiO4
Source: the Materials Project
Functional: GGA-PBE
Structure: relaxed

Cell lengths 4.744, 4.981, 7.756 Å; angles 90.00, 127.70, 90.00 degrees
Space group Pc (No. 7)
One atom of each set of equivalent atoms:
1 Li 0.000 0.165 0.000 (multiplicity 2)
2 Li 0.252 0.325 0.752 (multiplicity 2)
3 Be 0.491 0.180 0.501 (multiplicity 2)
4 Si 0.739 0.320 0.250 (multiplicity 2)
5 O 0.113 0.200 0.469 (multiplicity 2)
6 O 0.425 0.300 0.281 (multiplicity 2)
7 O 0.614 0.141 0.034 (multiplicity 2)
8 O 0.799 0.362 0.719 (multiplicity 2)

Output
The calculation puts the total magnetization at 0.000 μB/atom. The calculated formation energy comes out at -2292 kJ/mol of formula units. The maximum piezoelectric response is 0.82 C/m2. The total energy is -6.723 eV per atom.

***

Compound: KLaSn4O12
Source: the Materials Project
Functional: GGA-PBE
Structure: relaxed

Cell lengths 8.244, 8.172, 8.137 Å; angles 90.00, 90.00, 90.00 degrees
Space group Amm2 (No. 38)
One atom of each set of equivalent atoms:
1 K 0.000 0.000 0.000 (multiplicity 2)
2 La 0.500 0.000 0.502 (multiplicity 2)
3 Sn 0.243 0.249 0.250 (multiplicity 8)
4 O 0.000 0.230 0.250 (multiplicity 4)
5 O 0.244 0.000 0.767 (multiplicity 4)
6 O 0.279 0.222 0.500 (multiplicity 8)
7 O 0.296 0.000 0.255 (multiplicity 4)
8 O 0.500 0.216 0.736 (multiplicity 4)

Output
The calculation puts the total magnetization at 0.222 μB/atom. The calculated formation energy comes out at -3247 kJ/mol of formula units. The total energy is -5.937 eV per atom.